1.
First-principles (PBE-GGA) data for an optimized crystal structure of Sr2LiH8O6, as listed in the Materials Project database.

## Properties
total energy after the MP2020 corrections	-5.29	eV per atom

Cell lengths 3.994, 5.866, 8.863 Å; angles 95.23, 90.10, 89.90 degrees
Fractional coordinates of all 17 atoms:
Sr  0.002  0.680  0.680
Sr  0.998  0.229  0.090
Li  0.498  0.399  0.357
H  0.204  0.161  0.756
H  0.800  0.161  0.756
H  0.804  0.898  0.372
H  0.195  0.899  0.372
H  0.501  0.005  0.575
H  0.498  0.947  0.201
H  0.502  0.327  0.612
H  0.496  0.607  0.101
O  0.002  0.251  0.803
O  0.000  0.817  0.414
O  0.502  0.999  0.685
O  0.498  0.062  0.290
O  0.502  0.475  0.569
O  0.497  0.459  0.145


2.
First-principles (PBE-GGA) data for an optimized crystal structure of LiAg2F4, as listed in the Materials Project database.

## Properties
total energy after the MP2020 corrections	-4.00	eV per atom

Cell lengths 10.891, 3.309, 5.581 Å; angles 86.91, 90.00, 90.00 degrees
Fractional coordinates of all 14 atoms:
Li  0.250  0.871  0.299
Li  0.750  0.129  0.701
Ag  0.080  0.369  0.771
Ag  0.420  0.369  0.771
Ag  0.580  0.631  0.229
Ag  0.920  0.631  0.229
F  0.000  0.000  0.500
F  0.880  0.221  0.934
F  0.620  0.221  0.934
F  0.250  0.379  0.513
F  0.750  0.621  0.487
F  0.120  0.779  0.066
F  0.380  0.779  0.066
F  0.500  0.000  0.500


3.
First-principles (PBE-GGA) data for an optimized crystal structure of DyNiGe3, as listed in the Materials Project database.

Cell lengths 10.986, 10.986, 4.098 Å; angles 90.00, 90.00, 158.41 degrees
Fractional coordinates of all 10 atoms:
Dy  0.169  0.831  0.500
Dy  0.831  0.169  0.500
Ni  0.390  0.610  0.000
Ni  0.610  0.390  0.000
Ge  0.284  0.716  0.000
Ge  0.716  0.284  0.000
Ge  0.443  0.557  0.500
Ge  0.557  0.443  0.500
Ge  0.057  0.943  0.000
Ge  0.943  0.057  0.000


4.
First-principles (PBE-GGA) data for an optimized crystal structure of Mg3Zr, as listed in the Materials Project database.

Cell lengths 3.033, 5.112, 5.843 Å; angles 90.00, 90.00, 90.00 degrees
Fractional coordinates of all 4 atoms:
Mg  0.000  0.000  0.656
Mg  0.000  0.500  0.337
Mg  0.500  0.500  0.849
Zr  0.500  0.000  0.158


5.
First-principles (PBE-GGA) data for an optimized crystal structure of Ba2TlCd, as listed in the Materials Project database.

Cell lengths 6.061, 6.061, 6.061 Å; angles 60.00, 60.00, 60.00 degrees
Fractional coordinates of all 4 atoms:
Ba  0.250  0.250  0.250
Ba  0.750  0.750  0.750
Tl  0.000  0.000  0.000
Cd  0.500  0.500  0.500


6.
First-principles (PBE-GGA) data for an optimized crystal structure of CoMo, as listed in the Materials Project database.

Cell lengths 2.695, 2.695, 4.184 Å; angles 90.00, 90.00, 120.00 degrees
Fractional coordinates of all 2 atoms:
Co  0.667  0.333  0.500
Mo  0.333  0.667  0.000


7.
First-principles (PBE-GGA) data for an optimized crystal structure of NaAlB14, as listed in the Materials Project database.

Cell lengths 7.267, 7.267, 7.267 Å; angles 132.54, 111.07, 87.96 degrees
Fractional coordinates of all 32 atoms:
Na  0.097  0.750  0.347
Na  0.903  0.250  0.653
Al  0.500  0.500  0.500
Al  0.500  0.000  0.000
B  0.897  0.220  0.998
B  0.465  0.171  0.795
B  0.877  0.171  0.205
B  0.723  0.399  0.002
B  0.582  0.415  0.168
B  0.728  0.353  0.376
B  0.302  0.334  0.968
B  0.723  0.720  0.323
B  0.877  0.671  0.706
B  0.465  0.671  0.294
B  0.103  0.101  0.323
B  0.897  0.899  0.677
B  0.535  0.329  0.706
B  0.123  0.329  0.294
B  0.277  0.280  0.677
B  0.747  0.915  0.832
B  0.477  0.853  0.624
B  0.866  0.834  0.032
B  0.698  0.666  0.032
B  0.272  0.647  0.624
B  0.418  0.585  0.832
B  0.277  0.601  0.998
B  0.123  0.829  0.795
B  0.535  0.829  0.205
B  0.103  0.780  0.002
B  0.134  0.166  0.968
B  0.523  0.147  0.376
B  0.253  0.085  0.168


8.
First-principles (PBE-GGA) data for an optimized crystal structure of La2Zr2O7, as listed in the Materials Project database.

## Properties
total energy after the MP2020 corrections	-9.51	eV per atom

Cell lengths 7.702, 7.702, 7.702 Å; angles 60.00, 60.00, 60.00 degrees
Fractional coordinates of all 22 atoms:
La  0.625  0.625  0.125
La  0.625  0.125  0.625
La  0.125  0.625  0.625
La  0.625  0.625  0.625
Zr  0.125  0.125  0.625
Zr  0.125  0.625  0.125
Zr  0.625  0.125  0.125
Zr  0.125  0.125  0.125
O  0.750  0.750  0.750
O  0.500  0.500  0.500
O  0.042  0.458  0.042
O  0.792  0.208  0.792
O  0.042  0.042  0.458
O  0.458  0.042  0.042
O  0.042  0.458  0.458
O  0.458  0.458  0.042
O  0.458  0.042  0.458
O  0.208  0.792  0.792
O  0.792  0.208  0.208
O  0.208  0.792  0.208
O  0.792  0.792  0.208
O  0.208  0.208  0.792


9.
First-principles (PBE-GGA) data for an optimized crystal structure of LaRh2, as listed in the Materials Project database.

Cell lengths 5.458, 5.458, 5.458 Å; angles 60.00, 60.00, 60.00 degrees
Fractional coordinates of all 6 atoms:
La  0.500  0.500  0.500
La  0.250  0.250  0.250
Rh  0.875  0.875  0.875
Rh  0.875  0.875  0.375
Rh  0.875  0.375  0.875
Rh  0.375  0.875  0.875


10.
First-principles (PBE-GGA) data for an optimized crystal structure of Er2Al3Fe14, as listed in the Materials Project database.

Cell lengths 8.175, 8.518, 8.518 Å; angles 120.06, 90.00, 90.00 degrees
Fractional coordinates of all 38 atoms:
Er  0.750  0.000  0.000
Er  0.250  0.000  0.000
Er  0.250  0.667  0.333
Er  0.750  0.333  0.667
Al  0.500  0.500  0.000
Al  0.500  0.500  0.500
Al  0.500  0.000  0.500
Al  0.000  0.500  0.000
Al  0.000  0.500  0.500
Al  0.000  0.000  0.500
Fe  0.611  0.667  0.333
Fe  0.389  0.333  0.667
Fe  0.111  0.333  0.667
Fe  0.889  0.667  0.333
Fe  0.750  0.679  0.028
Fe  0.750  0.349  0.321
Fe  0.750  0.972  0.652
Fe  0.750  0.348  0.028
Fe  0.750  0.972  0.321
Fe  0.750  0.679  0.651
Fe  0.250  0.321  0.972
Fe  0.250  0.651  0.679
Fe  0.250  0.028  0.348
Fe  0.250  0.652  0.972
Fe  0.250  0.028  0.679
Fe  0.250  0.321  0.349
Fe  0.486  0.835  0.669
Fe  0.486  0.834  0.166
Fe  0.486  0.331  0.165
Fe  0.514  0.165  0.331
Fe  0.514  0.166  0.834
Fe  0.514  0.669  0.835
Fe  0.986  0.165  0.331
Fe  0.986  0.166  0.834
Fe  0.986  0.669  0.835
Fe  0.014  0.835  0.669
Fe  0.014  0.834  0.166
Fe  0.014  0.331  0.165


11.
First-principles (PBE-GGA) data for an optimized crystal structure of NbBiO4, as listed in the Materials Project database.

## Properties
total energy after the MP2020 corrections	-8.08	eV per atom
piezoelectric modulus e_max	2.422	C/m²

Cell lengths 4.197, 4.197, 6.055 Å; angles 73.85, 73.85, 88.96 degrees
Fractional coordinates of all 6 atoms:
Nb  0.053  0.947  0.000
Bi  0.708  0.292  0.500
O  0.997  0.487  0.049
O  0.135  0.165  0.652
O  0.835  0.865  0.348
O  0.513  0.003  0.951


12.
First-principles (PBE-GGA) data for an optimized crystal structure of Ho3Sb5O12, as listed in the Materials Project database.

## Properties
total energy after the MP2020 corrections	-7.36	eV per atom

Cell lengths 9.428, 9.428, 9.428 Å; angles 109.47, 109.47, 109.47 degrees
Fractional coordinates of all 40 atoms:
Ho  0.750  0.250  0.500
Ho  0.750  0.500  0.250
Ho  0.500  0.250  0.750
Ho  0.500  0.750  0.250
Ho  0.250  0.750  0.500
Ho  0.250  0.500  0.750
Sb  0.516  0.000  0.000
Sb  0.284  0.000  0.284
Sb  0.284  0.284  0.000
Sb  0.716  0.000  0.716
Sb  0.716  0.716  0.000
Sb  0.000  0.516  0.000
Sb  0.000  0.000  0.516
Sb  0.484  0.484  0.484
Sb  0.000  0.284  0.284
Sb  0.000  0.716  0.716
O  0.480  0.000  0.202
O  0.480  0.202  0.000
O  0.703  0.501  0.000
O  0.703  0.000  0.501
O  0.798  0.297  0.297
O  0.499  0.499  0.202
O  0.499  0.202  0.499
O  0.501  0.703  0.000
O  0.501  0.000  0.703
O  0.722  0.520  0.520
O  0.798  0.278  0.798
O  0.798  0.798  0.278
O  0.202  0.480  0.000
O  0.202  0.000  0.480
O  0.520  0.722  0.520
O  0.520  0.520  0.722
O  0.000  0.480  0.202
O  0.000  0.202  0.480
O  0.297  0.798  0.297
O  0.297  0.297  0.798
O  0.202  0.499  0.499
O  0.000  0.703  0.501
O  0.000  0.501  0.703
O  0.278  0.798  0.798


13.
First-principles (PBE-GGA) data for an optimized crystal structure of NdTi4SnO12, as listed in the Materials Project database.

## Properties
total energy after the MP2020 corrections	-8.61	eV per atom

Cell lengths 5.357, 5.357, 7.813 Å; angles 90.00, 90.00, 89.84 degrees
Fractional coordinates of all 18 atoms:
Nd  0.526  0.474  0.500
Ti  0.503  0.995  0.253
Ti  0.503  0.995  0.747
Ti  0.005  0.497  0.747
Ti  0.005  0.497  0.253
Sn  0.979  0.021  0.000
O  0.300  0.304  0.259
O  0.696  0.700  0.259
O  0.696  0.700  0.741
O  0.300  0.304  0.741
O  0.172  0.828  0.181
O  0.782  0.218  0.292
O  0.782  0.218  0.708
O  0.172  0.828  0.819
O  0.602  0.010  0.000
O  0.453  0.953  0.500
O  0.990  0.398  0.000
O  0.047  0.547  0.500


14.
First-principles (PBE-GGA) data for an optimized crystal structure of Al2GeH2O6, as listed in the Materials Project database.

## Properties
total energy after the MP2020 corrections	-6.90	eV per atom

Cell lengths 5.016, 5.016, 9.062 Å; angles 83.07, 83.07, 114.73 degrees
Fractional coordinates of all 22 atoms:
Al  0.558  0.292  0.914
Al  0.708  0.442  0.586
Al  0.442  0.708  0.086
Al  0.292  0.558  0.414
Ge  0.276  0.724  0.750
Ge  0.724  0.276  0.250
H  0.965  0.138  0.932
H  0.862  0.035  0.568
H  0.035  0.862  0.068
H  0.138  0.965  0.432
O  0.479  0.666  0.589
O  0.334  0.521  0.911
O  0.521  0.334  0.411
O  0.666  0.479  0.089
O  0.424  0.119  0.739
O  0.881  0.576  0.761
O  0.576  0.881  0.261
O  0.119  0.424  0.239
O  0.748  0.050  0.956
O  0.950  0.252  0.544
O  0.252  0.950  0.044
O  0.050  0.748  0.456


15.
First-principles (PBE-GGA) data for an optimized crystal structure of Rb2TlHgCl6, as listed in the Materials Project database.

## Properties
total energy after the MP2020 corrections	-3.13	eV per atom

Cell lengths 7.713, 7.713, 7.713 Å; angles 60.00, 60.00, 60.00 degrees
Fractional coordinates of all 10 atoms:
Rb  0.750  0.750  0.750
Rb  0.250  0.250  0.250
Tl  0.000  0.000  0.000
Hg  0.500  0.500  0.500
Cl  0.746  0.254  0.254
Cl  0.254  0.254  0.746
Cl  0.254  0.746  0.746
Cl  0.254  0.746  0.254
Cl  0.746  0.254  0.746
Cl  0.746  0.746  0.254


16.
First-principles (PBE-GGA) data for an optimized crystal structure of MnHg2S3, as listed in the Materials Project database.

## Properties
total energy after the MP2020 corrections	-4.20	eV per atom

Cell lengths 4.164, 4.164, 10.127 Å; angles 90.00, 90.00, 120.00 degrees
Fractional coordinates of all 6 atoms:
Mn  0.333  0.667  0.663
Hg  0.000  0.000  0.995
Hg  0.667  0.333  0.343
S  0.000  0.000  0.249
S  0.667  0.333  0.600
S  0.333  0.667  0.900


17.
First-principles (PBE-GGA) data for an optimized crystal structure of K2SnBi, as listed in the Materials Project database.

Cell lengths 6.643, 6.877, 13.625 Å; angles 90.00, 90.00, 90.00 degrees
Fractional coordinates of all 16 atoms:
K  0.750  0.389  0.667
K  0.250  0.611  0.333
K  0.750  0.611  0.167
K  0.250  0.159  0.511
K  0.250  0.841  0.011
K  0.750  0.841  0.489
K  0.750  0.159  0.989
K  0.250  0.389  0.833
Sn  0.500  0.094  0.250
Sn  0.000  0.094  0.250
Sn  0.000  0.906  0.750
Sn  0.500  0.906  0.750
Bi  0.250  0.340  0.106
Bi  0.250  0.660  0.606
Bi  0.750  0.660  0.894
Bi  0.750  0.340  0.394


18.
First-principles (PBE-GGA) data for an optimized crystal structure of CaYO3, as listed in the Materials Project database.

## Properties
total energy after the MP2020 corrections	-7.49	eV per atom

Cell lengths 4.346, 4.346, 4.346 Å; angles 90.00, 90.00, 90.00 degrees
Fractional coordinates of all 5 atoms:
Ca  0.000  0.000  0.000
Y  0.500  0.500  0.500
O  0.500  0.500  0.000
O  0.500  0.000  0.500
O  0.000  0.500  0.500


no.,final energy (eV/atom),formation energy (eV per atom)
1,-5.05,-1.640
2,-3.74,-1.823
3,-5.43,-0.575
4,-3.23,0.104
5,-2.16,-0.379
6,-8.77,0.205
7,-6.31,-0.145
8,-9.07,-3.909
9,-7.24,-0.687
10,-7.45,-0.134
11,-7.62,-2.452
12,-6.95,-2.671
13,-8.15,-3.066
14,-6.53,-2.486
15,-2.76,-1.555
16,-3.95,-0.504
17,-2.88,-0.352
18,-7.08,-2.831